i) Here is a relaxed BaSrO2 crystal from the Materials Project. Energies are from PBE.

Computed properties:
* magnetic moment: 0.0 μB/f.u.

Cell and atoms, written as CIF:
```
data_BaSrO2
_chemical_formula_sum 'Ba1 Sr1 O2'
_cell_length_a 3.8419
_cell_length_b 3.8419
_cell_length_c 5.4278
_cell_angle_alpha 90.00
_cell_angle_beta 90.00
_cell_angle_gamma 90.00
_space_group_name_H-M_alt 'P 4/m m m'
_space_group_IT_number 123
_space_group_name_Hall '-P 4 2'
loop_
_atom_site_label
_atom_site_type_symbol
_atom_site_fract_x
_atom_site_fract_y
_atom_site_fract_z
Ba1 Ba 0.0000 0.0000 0.0000
Sr1 Sr 0.5000 0.5000 0.5000
O1 O 0.0000 0.0000 0.5000
O2 O 0.5000 0.5000 0.0000
```

ii) Here is a relaxed BaSrO2 crystal from the Materials Project. Energies are from PBE.

Computed properties:
* magnetic moment: 0.0 μB/f.u.

Cell and atoms, written as CIF:
```
data_BaSrO2
_chemical_formula_sum 'Ba3 Sr3 O6'
_cell_length_a 3.8212
_cell_length_b 3.8212
_cell_length_c 18.7710
_cell_angle_alpha 90.00
_cell_angle_beta 90.00
_cell_angle_gamma 120.00
_space_group_name_H-M_alt 'R -3 m'
_space_group_IT_number 166
_space_group_name_Hall '-R 3 2"'
loop_
_atom_site_label
_atom_site_type_symbol
_atom_site_fract_x
_atom_site_fract_y
_atom_site_fract_z
Ba1 Ba 0.0000 0.0000 0.0000
Sr1 Sr 0.0000 0.0000 0.5000
O1 O 0.0000 0.0000 0.2445
```

The structure with the greatest stability is ii).